1.
# PBE-GGA PuSb2, optimized geometry
# E_form in eV per formula unit: -1.9
# Raw total energy in eV/f.u.: -24.03
# Space group: Cmce, No. 64
data_PuSb2
_space_group_name_H-M_alt 'P 1'
_space_group_IT_number 1
_cell_length_a 4.406
_cell_length_b 4.406
_cell_length_c 17.151
_cell_angle_alpha 90.00
_cell_angle_beta 90.00
_cell_angle_gamma 90.07
loop_
_space_group_symop_operation_xyz
'x,y,z'
loop_
_atom_site_label
_atom_site_type_symbol
_atom_site_fract_x
_atom_site_fract_y
_atom_site_fract_z
Pu1 Pu 0.641 0.359 0.893
Pu2 Pu 0.359 0.641 0.107
Pu3 Pu 0.859 0.141 0.393
Pu4 Pu 0.141 0.859 0.607
Sb1 Sb 0.641 0.359 0.570
Sb2 Sb 0.359 0.641 0.430
Sb3 Sb 0.859 0.141 0.070
Sb4 Sb 0.141 0.859 0.930
Sb5 Sb 0.626 0.874 0.750
Sb6 Sb 0.874 0.626 0.250
Sb7 Sb 0.374 0.126 0.250
Sb8 Sb 0.126 0.374 0.750

***

2.
# PBE-GGA Na10Ca3Hf5Si6S6O48, optimized geometry
# E_form in eV per formula unit: -218.5
# Raw total energy in eV/f.u.: -549.38
# Space group: P1, No. 1
data_Na10Ca3Hf5Si6S6O48
_space_group_name_H-M_alt 'P 1'
_space_group_IT_number 1
_cell_length_a 18.405
_cell_length_b 9.191
_cell_length_c 23.245
_cell_angle_alpha 89.87
_cell_angle_beta 89.95
_cell_angle_gamma 119.97
loop_
_space_group_symop_operation_xyz
'x,y,z'
loop_
_atom_site_label
_atom_site_type_symbol
_atom_site_fract_x
_atom_site_fract_y
_atom_site_fract_z
Na1 Na 0.316 0.999 0.246
Na2 Na 0.194 0.366 0.244
Na3 Na 0.692 0.373 0.243
Na4 Na 0.997 0.643 0.252
Na5 Na 0.318 0.614 0.756
Na6 Na 0.819 0.626 0.750
Na7 Na 0.992 0.360 0.752
Na8 Na 0.497 0.375 0.742
Na9 Na 0.181 0.010 0.749
Na10 Na 0.687 0.013 0.751
Na11 Na 0.647 0.344 0.575
Na12 Na 0.320 0.677 0.079
Na13 Na 0.823 0.681 0.088
Na14 Na 0.163 0.321 0.923
Na15 Na 0.998 0.311 0.420
Na16 Na 0.162 0.027 0.418
Na17 Na 0.663 0.026 0.414
Na18 Na 0.843 0.674 0.418
Na19 Na 0.002 0.004 0.500
Na20 Na 0.495 0.017 0.496
Na21 Na 0.007 0.029 0.000
Na22 Na 0.502 0.026 0.995
Na23 Na 0.344 0.359 0.835
Na24 Na 0.838 0.335 0.829
Na25 Na 0.335 0.365 0.327
Na26 Na 0.833 0.338 0.331
Na27 Na 0.169 0.658 0.159
Na28 Na 0.664 0.660 0.160
Na29 Na 0.161 0.659 0.663
Na30 Na 0.656 0.659 0.662
Ca1 Ca 0.496 0.997 0.352
Ca2 Ca 0.337 0.340 0.683
Ca3 Ca 0.835 0.336 0.688
Ca4 Ca 0.332 0.338 0.184
Ca5 Ca 0.832 0.330 0.183
Ca6 Ca 0.165 0.655 0.014
Ca7 Ca 0.659 0.648 0.014
Ca8 Ca 0.162 0.656 0.515
Ca9 Ca 0.667 0.665 0.517
Hf1 Hf 0.000 0.993 0.352
Hf2 Hf 0.998 0.003 0.850
Hf3 Hf 0.502 0.999 0.855
Hf4 Hf 0.001 0.001 0.653
Hf5 Hf 0.503 0.008 0.648
Hf6 Hf 0.006 0.998 0.148
Hf7 Hf 0.500 0.001 0.147
Hf8 Hf 0.334 0.343 0.978
Hf9 Hf 0.829 0.326 0.982
Hf10 Hf 0.338 0.339 0.485
Hf11 Hf 0.836 0.338 0.477
Hf12 Hf 0.171 0.664 0.317
Hf13 Hf 0.675 0.671 0.318
Hf14 Hf 0.158 0.643 0.820
Hf15 Hf 0.658 0.654 0.813
Si1 Si 0.147 0.991 0.253
Si2 Si 0.352 0.707 0.250
Si3 Si 0.853 0.712 0.250
Si4 Si 0.145 0.294 0.752
Si5 Si 0.643 0.290 0.751
Si6 Si 0.006 0.717 0.752
Si7 Si 0.501 0.715 0.751
Si8 Si 0.852 0.990 0.751
Si9 Si 0.483 0.328 0.588
Si10 Si 0.182 0.329 0.085
Si11 Si 0.683 0.331 0.087
Si12 Si 0.317 0.671 0.918
Si13 Si 0.011 0.357 0.918
Si14 Si 0.514 0.364 0.916
Si15 Si 0.816 0.965 0.417
Si16 Si 0.170 0.368 0.416
Si17 Si 0.665 0.365 0.420
Si18 Si 0.022 0.669 0.415
S1 S 0.644 0.989 0.251
S2 S 0.003 0.290 0.251
S3 S 0.505 0.298 0.250
S4 S 0.355 0.992 0.751
S5 S 0.980 0.324 0.583
S6 S 0.183 0.039 0.584
S7 S 0.685 0.044 0.584
S8 S 0.336 0.635 0.584
S9 S 0.839 0.635 0.583
S10 S 0.480 0.633 0.084
S11 S 0.979 0.631 0.083
S12 S 0.337 0.042 0.085
S13 S 0.837 0.040 0.082
S14 S 0.816 0.665 0.917
S15 S 0.167 0.965 0.915
S16 S 0.669 0.967 0.915
S17 S 0.313 0.966 0.418
S18 S 0.518 0.658 0.416
O1 O 0.098 0.018 0.307
O2 O 0.610 0.018 0.304
O3 O 0.402 0.803 0.305
O4 O 0.910 0.814 0.305
O5 O 0.494 0.202 0.302
O6 O 0.993 0.194 0.304
O7 O 0.097 0.180 0.809
O8 O 0.592 0.166 0.803
O9 O 0.489 0.814 0.804
O10 O 0.993 0.811 0.807
O11 O 0.408 0.016 0.802
O12 O 0.914 0.020 0.805
O13 O 0.395 0.968 0.699
O14 O 0.898 0.960 0.694
O15 O 0.082 0.202 0.696
O16 O 0.585 0.206 0.692
O17 O 0.021 0.839 0.695
O18 O 0.514 0.832 0.693
O19 O 0.400 0.830 0.192
O20 O 0.898 0.821 0.191
O21 O 0.012 0.204 0.200
O22 O 0.519 0.211 0.199
O23 O 0.084 0.968 0.197
O24 O 0.590 0.976 0.200
O25 O 0.442 0.337 0.647
O26 O 0.939 0.337 0.636
O27 O 0.228 0.118 0.637
O28 O 0.732 0.121 0.636
O29 O 0.324 0.541 0.638
O30 O 0.829 0.536 0.635
O31 O 0.444 0.534 0.135
O32 O 0.945 0.539 0.138
O33 O 0.331 0.115 0.139
O34 O 0.829 0.117 0.135
O35 O 0.233 0.348 0.143
O36 O 0.734 0.355 0.146
O37 O 0.234 0.310 0.027
O38 O 0.738 0.312 0.031
O39 O 0.425 0.547 0.032
O40 O 0.922 0.536 0.034
O41 O 0.348 0.150 0.035
O42 O 0.846 0.151 0.031
O43 O 0.230 0.148 0.532
O44 O 0.729 0.153 0.532
O45 O 0.344 0.537 0.534
O46 O 0.846 0.543 0.531
O47 O 0.420 0.316 0.532
O48 O 0.928 0.312 0.531
O49 O 0.285 0.703 0.977
O50 O 0.783 0.696 0.969
O51 O 0.075 0.436 0.969
O52 O 0.570 0.437 0.971
O53 O 0.154 0.866 0.967
O54 O 0.658 0.869 0.967
O55 O 0.273 0.865 0.469
O56 O 0.783 0.846 0.471
O57 O 0.142 0.437 0.469
O58 O 0.657 0.443 0.479
O59 O 0.083 0.727 0.469
O60 O 0.568 0.686 0.468
O61 O 0.062 0.628 0.358
O62 O 0.559 0.633 0.364
O63 O 0.259 0.884 0.365
O64 O 0.749 0.874 0.362
O65 O 0.183 0.486 0.358
O66 O 0.681 0.494 0.363
O67 O 0.056 0.474 0.857
O68 O 0.562 0.489 0.858
O69 O 0.177 0.882 0.863
O70 O 0.681 0.887 0.863
O71 O 0.252 0.639 0.862
O72 O 0.763 0.642 0.865
O73 O 0.999 0.820 0.405
O74 O 0.508 0.806 0.409
O75 O 0.398 0.997 0.411
O76 O 0.911 0.006 0.403
O77 O 0.087 0.179 0.404
O78 O 0.595 0.171 0.413
O79 O 0.004 0.172 0.909
O80 O 0.502 0.178 0.903
O81 O 0.094 0.994 0.908
O82 O 0.595 0.991 0.908
O83 O 0.411 0.822 0.904
O84 O 0.902 0.809 0.908
O85 O 0.489 0.150 0.586
O86 O 0.985 0.166 0.585
O87 O 0.099 0.030 0.585
O88 O 0.602 0.039 0.586
O89 O 0.416 0.799 0.586
O90 O 0.918 0.803 0.585
O91 O 0.479 0.799 0.089
O92 O 0.976 0.795 0.086
O93 O 0.416 0.023 0.088
O94 O 0.914 0.024 0.085
O95 O 0.087 0.153 0.089
O96 O 0.590 0.156 0.091
O97 O 0.343 0.138 0.747
O98 O 0.842 0.154 0.748
O99 O 0.236 0.309 0.749
O100 O 0.736 0.315 0.748
O101 O 0.421 0.527 0.751
O102 O 0.926 0.531 0.748
O103 O 0.334 0.518 0.248
O104 O 0.845 0.526 0.253
O105 O 0.430 0.312 0.241
O106 O 0.931 0.319 0.247
O107 O 0.241 0.147 0.252
O108 O 0.729 0.136 0.244
O109 O 0.317 0.487 0.922
O110 O 0.823 0.508 0.923
O111 O 0.420 0.345 0.924
O112 O 0.918 0.343 0.926
O113 O 0.244 0.136 0.919
O114 O 0.746 0.139 0.921
O115 O 0.314 0.133 0.423
O116 O 0.822 0.151 0.425
O117 O 0.251 0.339 0.426
O118 O 0.759 0.366 0.424
O119 O 0.432 0.503 0.423
O120 O 0.929 0.496 0.426
O121 O 0.176 0.499 0.082
O122 O 0.681 0.505 0.081
O123 O 0.064 0.667 0.076
O124 O 0.566 0.671 0.076
O125 O 0.264 0.872 0.079
O126 O 0.764 0.872 0.075
O127 O 0.174 0.873 0.578
O128 O 0.672 0.874 0.578
O129 O 0.265 0.661 0.576
O130 O 0.764 0.653 0.579
O131 O 0.064 0.472 0.580
O132 O 0.578 0.485 0.584
O133 O 0.146 0.812 0.259
O134 O 0.648 0.831 0.254
O135 O 0.256 0.698 0.254
O136 O 0.756 0.684 0.257
O137 O 0.082 0.458 0.255
O138 O 0.583 0.468 0.253
O139 O 0.153 0.483 0.757
O140 O 0.650 0.477 0.758
O141 O 0.095 0.712 0.758
O142 O 0.590 0.709 0.758
O143 O 0.271 0.837 0.756
O144 O 0.761 0.818 0.760

***

3.
# PBE-GGA Na5Hf2Zr2Si3P3O24, optimized geometry
# E_form in eV per formula unit: -123.6
# Raw total energy in eV/f.u.: -302.04
# Space group: P1, No. 1
data_Na5Hf2Zr2Si3P3O24
_space_group_name_H-M_alt 'P 1'
_space_group_IT_number 1
_cell_length_a 9.073
_cell_length_b 9.074
_cell_length_c 23.098
_cell_angle_alpha 90.00
_cell_angle_beta 89.98
_cell_angle_gamma 119.98
loop_
_space_group_symop_operation_xyz
'x,y,z'
loop_
_atom_site_label
_atom_site_type_symbol
_atom_site_fract_x
_atom_site_fract_y
_atom_site_fract_z
Na1 Na 0.000 0.631 0.250
Na2 Na 0.368 0.000 0.751
Na3 Na 0.031 0.701 0.582
Na4 Na 0.663 0.965 0.584
Na5 Na 0.299 0.969 0.082
Na6 Na 0.035 0.337 0.085
Na7 Na 0.971 0.669 0.918
Na8 Na 0.966 0.302 0.415
Na9 Na 0.335 0.029 0.417
Na10 Na 0.998 0.994 0.500
Na11 Na 0.999 0.999 0.999
Na12 Na 0.665 0.327 0.834
Na13 Na 0.666 0.332 0.333
Na14 Na 0.341 0.661 0.167
Na15 Na 0.338 0.657 0.667
Hf1 Hf 0.000 0.007 0.853
Hf2 Hf 0.666 0.333 0.185
Hf3 Hf 0.656 0.329 0.980
Hf4 Hf 0.334 0.666 0.018
Hf5 Hf 0.334 0.666 0.314
Hf6 Hf 0.341 0.670 0.815
Zr1 Zr 0.989 0.995 0.351
Zr2 Zr 0.999 0.002 0.649
Zr3 Zr 0.999 0.001 0.148
Zr4 Zr 0.666 0.335 0.687
Zr5 Zr 0.666 0.341 0.481
Zr6 Zr 0.340 0.671 0.518
Si1 Si 0.000 0.296 0.250
Si2 Si 0.707 0.000 0.751
Si3 Si 0.372 0.043 0.583
Si4 Si 0.665 0.625 0.585
Si5 Si 0.956 0.624 0.082
Si6 Si 0.378 0.338 0.084
Si7 Si 0.335 0.961 0.916
Si8 Si 0.626 0.959 0.416
Si9 Si 0.041 0.667 0.416
P1 P 0.296 0.002 0.251
P2 P 0.704 0.705 0.249
P3 P 0.289 0.293 0.751
P4 P 0.999 0.707 0.752
P5 P 0.958 0.333 0.583
P6 P 0.665 0.044 0.083
P7 P 0.624 0.667 0.916
P8 P 0.044 0.376 0.917
P9 P 0.334 0.377 0.416
O1 O 0.210 0.026 0.305
O2 O 0.822 0.788 0.303
O3 O 0.974 0.179 0.307
O4 O 0.204 0.174 0.804
O5 O 0.978 0.798 0.806
O6 O 0.830 0.025 0.805
O7 O 0.792 0.972 0.692
O8 O 0.181 0.208 0.697
O9 O 0.034 0.821 0.697
O10 O 0.792 0.818 0.196
O11 O 0.026 0.205 0.192
O12 O 0.179 0.968 0.196
O13 O 0.874 0.364 0.636
O14 O 0.494 0.126 0.640
O15 O 0.641 0.507 0.640
O16 O 0.872 0.503 0.140
O17 O 0.633 0.125 0.136
O18 O 0.494 0.360 0.140
O19 O 0.464 0.297 0.028
O20 O 0.843 0.533 0.024
O21 O 0.698 0.160 0.030
O22 O 0.461 0.155 0.525
O23 O 0.705 0.542 0.528
O24 O 0.847 0.301 0.528
O25 O 0.539 0.693 0.970
O26 O 0.153 0.458 0.972
O27 O 0.302 0.839 0.973
O28 O 0.543 0.846 0.475
O29 O 0.300 0.456 0.469
O30 O 0.158 0.697 0.474
O31 O 0.131 0.635 0.359
O32 O 0.500 0.865 0.362
O33 O 0.360 0.489 0.362
O34 O 0.131 0.493 0.864
O35 O 0.357 0.865 0.859
O36 O 0.512 0.639 0.863
O37 O 0.035 0.843 0.409
O38 O 0.819 0.988 0.411
O39 O 0.174 0.197 0.409
O40 O 0.024 0.199 0.910
O41 O 0.158 0.968 0.909
O42 O 0.806 0.824 0.909
O43 O 0.971 0.171 0.590
O44 O 0.181 0.013 0.590
O45 O 0.836 0.815 0.590
O46 O 0.987 0.817 0.090
O47 O 0.827 0.029 0.090
O48 O 0.187 0.166 0.090
O49 O 0.679 0.164 0.746
O50 O 0.464 0.303 0.745
O51 O 0.843 0.532 0.745
O52 O 0.695 0.531 0.243
O53 O 0.833 0.321 0.244
O54 O 0.471 0.159 0.243
O55 O 0.651 0.511 0.923
O56 O 0.868 0.365 0.924
O57 O 0.505 0.147 0.922
O58 O 0.643 0.147 0.422
O59 O 0.489 0.352 0.421
O60 O 0.858 0.492 0.421
O61 O 0.348 0.499 0.076
O62 O 0.147 0.644 0.076
O63 O 0.503 0.868 0.075
O64 O 0.353 0.852 0.578
O65 O 0.500 0.651 0.579
O66 O 0.133 0.495 0.577
O67 O 0.305 0.836 0.257
O68 O 0.529 0.688 0.257
O69 O 0.167 0.488 0.256
O70 O 0.308 0.469 0.759
O71 O 0.164 0.695 0.758
O72 O 0.514 0.832 0.757

***

4.
# PBE-GGA Li3AlB2O6, optimized geometry
# E_form in eV per formula unit: -34.0
# Raw total energy in eV/f.u.: -82.44
# Space group: P-1, No. 2
data_Li3AlB2O6
_space_group_name_H-M_alt 'P 1'
_space_group_IT_number 1
_cell_length_a 4.927
_cell_length_b 6.628
_cell_length_c 8.246
_cell_angle_alpha 109.95
_cell_angle_beta 89.89
_cell_angle_gamma 90.59
loop_
_space_group_symop_operation_xyz
'x,y,z'
loop_
_atom_site_label
_atom_site_type_symbol
_atom_site_fract_x
_atom_site_fract_y
_atom_site_fract_z
Li1 Li 0.662 0.405 0.577
Li2 Li 0.338 0.595 0.423
Li3 Li 0.150 0.558 0.722
Li4 Li 0.850 0.442 0.278
Li5 Li 0.877 0.262 0.859
Li6 Li 0.123 0.738 0.141
Al1 Al 0.620 0.045 0.227
Al2 Al 0.380 0.955 0.773
B1 B 0.148 0.178 0.405
B2 B 0.852 0.822 0.595
B3 B 0.661 0.689 0.925
B4 B 0.339 0.311 0.075
O1 O 0.754 0.797 0.093
O2 O 0.246 0.203 0.907
O3 O 0.864 0.178 0.387
O4 O 0.136 0.822 0.613
O5 O 0.279 0.348 0.518
O6 O 0.721 0.652 0.482
O7 O 0.802 0.523 0.816
O8 O 0.198 0.477 0.184
O9 O 0.414 0.759 0.878
O10 O 0.586 0.241 0.122
O11 O 0.291 0.002 0.295
O12 O 0.709 0.998 0.705

***

5.
# PBE-GGA LiCa6Ge, optimized geometry
# E_form in eV per formula unit: -0.4
# Raw total energy in eV/f.u.: -18.96
# Space group: Fm-3m, No. 225
data_LiCa6Ge
_space_group_name_H-M_alt 'P 1'
_space_group_IT_number 1
_cell_length_a 7.208
_cell_length_b 7.208
_cell_length_c 7.208
_cell_angle_alpha 60.00
_cell_angle_beta 60.00
_cell_angle_gamma 60.00
loop_
_space_group_symop_operation_xyz
'x,y,z'
loop_
_atom_site_label
_atom_site_type_symbol
_atom_site_fract_x
_atom_site_fract_y
_atom_site_fract_z
Li1 Li 0.500 0.500 0.500
Ca1 Ca 0.500 0.000 0.000
Ca2 Ca 0.500 0.500 0.000
Ca3 Ca 0.000 0.500 0.500
Ca4 Ca 0.000 0.000 0.500
Ca5 Ca 0.000 0.500 0.000
Ca6 Ca 0.500 0.000 0.500
Ge1 Ge 0.000 0.000 0.000

***

6.
# PBE-GGA CeSe2, optimized geometry
# E_form in eV per formula unit: -4.2
# Raw total energy in eV/f.u.: -16.22
# Space group: P1, No. 1
data_CeSe2
_space_group_name_H-M_alt 'P 1'
_space_group_IT_number 1
_cell_length_a 8.489
_cell_length_b 8.865
_cell_length_c 11.638
_cell_angle_alpha 68.61
_cell_angle_beta 72.50
_cell_angle_gamma 83.48
loop_
_space_group_symop_operation_xyz
'x,y,z'
loop_
_atom_site_label
_atom_site_type_symbol
_atom_site_fract_x
_atom_site_fract_y
_atom_site_fract_z
Ce1 Ce 0.866 0.700 0.236
Ce2 Ce 0.383 0.716 0.593
Ce3 Ce 0.444 0.631 0.046
Ce4 Ce 0.174 0.281 0.455
Se1 Se 0.892 0.388 0.386
Se2 Se 0.160 0.959 0.598
Se3 Se 0.734 0.738 0.042
Se4 Se 0.406 0.332 0.228
Se5 Se 0.181 0.812 0.125
Se6 Se 0.657 0.839 0.397
Se7 Se 0.248 0.464 0.575
Se8 Se 0.469 0.609 0.815